No. 1
This record from the Materials Project describes a relaxed LiSnP4O12 crystal. The functional is GGA-PBE.

Calculated values
final energy	-6.867	eV/atom
energy relative to the lowest polymorph listed for this composition	0.007	eV/atom
M_tot	0.0	μB/cell

a b c (Å): 7.631 7.631 10.670
angles (deg): 114.32 114.32 69.26
Fractional positions:
Li: 0.002 0.998 0.750
Li: 0.998 0.002 0.250
Sn: 0.000 0.500 0.500
Sn: 0.500 0.000 0.000
P: 0.258 0.726 0.023
P: 0.274 0.742 0.477
P: 0.306 0.320 0.811
P: 0.320 0.306 0.311
P: 0.681 0.694 0.689
P: 0.694 0.681 0.189
P: 0.726 0.258 0.523
P: 0.742 0.274 0.977
O: 0.102 0.835 0.092
O: 0.137 0.289 0.328
O: 0.165 0.898 0.408
O: 0.196 0.707 0.574
O: 0.203 0.342 0.663
O: 0.225 0.504 0.932
O: 0.289 0.137 0.828
O: 0.293 0.804 0.926
O: 0.320 0.533 0.353
O: 0.342 0.203 0.163
O: 0.467 0.680 0.147
O: 0.496 0.775 0.568
O: 0.504 0.225 0.432
O: 0.533 0.320 0.853
O: 0.658 0.797 0.837
O: 0.680 0.467 0.647
O: 0.707 0.196 0.074
O: 0.711 0.863 0.172
O: 0.775 0.496 0.068
O: 0.797 0.658 0.337
O: 0.804 0.293 0.426
O: 0.835 0.102 0.592
O: 0.863 0.711 0.672
O: 0.898 0.165 0.908



No. 2
This record from the Materials Project describes a relaxed LiCuS crystal. The functional is GGA-PBE.

Calculated values
final energy	-4.093	eV/atom
M_tot	0.0	μB/cell

a b c (Å): 3.937 4.239 5.712
angles (deg): 90.00 90.00 90.00
Fractional positions:
Li: 0.000 0.198 0.000
Li: 0.500 0.802 0.500
Cu: 0.000 0.365 0.466
Cu: 0.500 0.635 0.966
S: 0.000 0.714 0.773
S: 0.500 0.286 0.273



No. 3
This record from the Materials Project describes a relaxed Ca2SnS4 crystal. The functional is GGA-PBE.

Calculated values
final energy	-4.764	eV/atom
energy relative to the lowest polymorph listed for this composition	0.137	eV/atom
M_tot	0.0	μB/cell

a b c (Å): 7.915 8.327 11.065
angles (deg): 90.00 111.88 90.00
Fractional positions:
Ca: 0.034 0.188 0.353
Ca: 0.034 0.312 0.853
Ca: 0.438 0.126 0.172
Ca: 0.438 0.374 0.672
Ca: 0.562 0.626 0.328
Ca: 0.562 0.874 0.828
Ca: 0.966 0.688 0.147
Ca: 0.966 0.812 0.647
Sn: 0.303 0.681 0.985
Sn: 0.303 0.819 0.485
Sn: 0.697 0.181 0.515
Sn: 0.697 0.319 0.015
S: 0.065 0.626 0.426
S: 0.065 0.874 0.926
S: 0.240 0.028 0.611
S: 0.240 0.472 0.111
S: 0.268 0.607 0.766
S: 0.268 0.893 0.266
S: 0.406 0.187 0.905
S: 0.406 0.313 0.405
S: 0.594 0.687 0.595
S: 0.594 0.813 0.095
S: 0.732 0.107 0.734
S: 0.732 0.393 0.234
S: 0.760 0.528 0.889
S: 0.760 0.972 0.389
S: 0.935 0.126 0.074
S: 0.935 0.374 0.574



No. 4
This record from the Materials Project describes a relaxed ZnPd2 crystal. The functional is GGA-PBE.

Calculated values
final energy	-4.335	eV/atom

a b c (Å): 5.408 4.227 7.838
angles (deg): 90.00 90.00 90.00
Fractional positions:
Zn: 0.191 0.250 0.099
Zn: 0.309 0.750 0.599
Zn: 0.691 0.250 0.401
Zn: 0.809 0.750 0.901
Pd: 0.036 0.250 0.774
Pd: 0.179 0.250 0.431
Pd: 0.321 0.750 0.931
Pd: 0.464 0.750 0.274
Pd: 0.536 0.250 0.726
Pd: 0.679 0.250 0.069
Pd: 0.821 0.750 0.569
Pd: 0.964 0.750 0.226



No. 5
This record from the Materials Project describes a relaxed SrTi2O5 crystal. The functional is GGA-PBE.

Calculated values
final energy	-8.137	eV/atom
energy relative to the lowest polymorph listed for this composition	0.026	eV/atom
M_tot	0.0	μB/cell

a b c (Å): 9.119 9.119 11.556
angles (deg): 90.00 90.00 128.09
Fractional positions:
Sr: 0.000 0.000 0.000
Sr: 0.231 0.769 0.967
Sr: 0.500 0.500 0.976
Sr: 0.769 0.231 0.967
Ti: 0.123 0.877 0.321
Ti: 0.127 0.397 0.116
Ti: 0.286 0.286 0.295
Ti: 0.397 0.127 0.116
Ti: 0.603 0.873 0.116
Ti: 0.714 0.714 0.295
Ti: 0.873 0.603 0.116
Ti: 0.877 0.123 0.321
O: 0.000 0.000 0.348
O: 0.000 0.500 0.096
O: 0.106 0.328 0.963
O: 0.131 0.358 0.287
O: 0.136 0.864 0.141
O: 0.188 0.812 0.430
O: 0.285 0.285 0.135
O: 0.328 0.106 0.963
O: 0.358 0.131 0.287
O: 0.365 0.635 0.095
O: 0.500 0.000 0.096
O: 0.500 0.500 0.349
O: 0.635 0.365 0.095
O: 0.642 0.869 0.287
O: 0.672 0.894 0.963
O: 0.715 0.715 0.135
O: 0.812 0.188 0.430
O: 0.864 0.136 0.141
O: 0.869 0.642 0.287
O: 0.894 0.672 0.963



No. 6
This record from the Materials Project describes a relaxed SrSb2 crystal. The functional is GGA-PBE.

Calculated values
final energy	-3.984	eV/atom

a b c (Å): 4.955 4.379 9.187
angles (deg): 90.00 101.75 90.00
Fractional positions:
Sr: 0.093 0.250 0.210
Sr: 0.907 0.750 0.790
Sb: 0.313 0.750 0.521
Sb: 0.444 0.250 0.887
Sb: 0.556 0.750 0.113
Sb: 0.687 0.250 0.479



No. 7
This record from the Materials Project describes a relaxed TiAg2I6O18 crystal. The functional is GGA-PBE.

Calculated values
final energy	-4.721	eV/atom
M_tot	0.0	μB/cell

a b c (Å): 7.469 7.469 7.469
angles (deg): 95.78 95.78 95.78
Fractional positions:
Ti: 0.000 0.000 0.000
Ag: 0.321 0.321 0.321
Ag: 0.679 0.679 0.679
I: 0.166 0.780 0.375
I: 0.220 0.625 0.834
I: 0.375 0.166 0.780
I: 0.625 0.834 0.220
I: 0.780 0.375 0.166
I: 0.834 0.220 0.625
O: 0.063 0.811 0.821
O: 0.135 0.572 0.216
O: 0.179 0.937 0.189
O: 0.188 0.565 0.587
O: 0.189 0.179 0.937
O: 0.216 0.135 0.572
O: 0.413 0.812 0.435
O: 0.428 0.784 0.865
O: 0.435 0.413 0.812
O: 0.565 0.587 0.188
O: 0.572 0.216 0.135
O: 0.587 0.188 0.565
O: 0.784 0.865 0.428
O: 0.811 0.821 0.063
O: 0.812 0.435 0.413
O: 0.821 0.063 0.811
O: 0.865 0.428 0.784
O: 0.937 0.189 0.179



No. 8
This record from the Materials Project describes a relaxed Ba3P3I2 crystal. The functional is GGA-PBE.

Calculated values
final energy	-4.400	eV/atom

a b c (Å): 17.558 4.594 14.352
angles (deg): 90.00 90.00 90.00
Fractional positions:
Ba: 0.130 0.250 0.116
Ba: 0.144 0.750 0.458
Ba: 0.160 0.750 0.789
Ba: 0.340 0.250 0.289
Ba: 0.356 0.250 0.958
Ba: 0.370 0.750 0.616
Ba: 0.630 0.250 0.384
Ba: 0.644 0.750 0.042
Ba: 0.660 0.750 0.711
Ba: 0.840 0.250 0.211
Ba: 0.856 0.250 0.542
Ba: 0.870 0.750 0.884
P: 0.211 0.750 0.247
P: 0.214 0.250 0.627
P: 0.225 0.750 0.996
P: 0.275 0.250 0.496
P: 0.286 0.750 0.127
P: 0.289 0.250 0.747
P: 0.711 0.750 0.253
P: 0.714 0.250 0.873
P: 0.725 0.750 0.504
P: 0.775 0.250 0.004
P: 0.786 0.750 0.373
P: 0.789 0.250 0.753
I: 0.009 0.250 0.365
I: 0.030 0.250 0.887
I: 0.470 0.750 0.387
I: 0.491 0.750 0.865
I: 0.509 0.250 0.135
I: 0.530 0.250 0.613
I: 0.970 0.750 0.113
I: 0.991 0.750 0.635



No. 9
This record from the Materials Project describes a relaxed CeZnB5O10 crystal. The functional is GGA-PBE.

Calculated values
final energy	-7.790	eV/atom
M_tot	4.0	μB/cell

a b c (Å): 8.848 7.681 12.729
angles (deg): 90.00 131.40 90.00
Fractional positions:
Ce: 0.054 0.184 0.238
Ce: 0.054 0.316 0.738
Ce: 0.946 0.684 0.262
Ce: 0.946 0.816 0.762
Zn: 0.487 0.588 0.877
Zn: 0.487 0.912 0.377
Zn: 0.513 0.088 0.623
Zn: 0.513 0.412 0.123
B: 0.094 0.673 0.608
B: 0.094 0.827 0.108
B: 0.154 0.597 0.003
B: 0.154 0.903 0.503
B: 0.271 0.033 0.053
B: 0.271 0.467 0.553
B: 0.352 0.581 0.264
B: 0.352 0.919 0.764
B: 0.486 0.185 0.915
B: 0.486 0.315 0.415
B: 0.514 0.685 0.585
B: 0.514 0.815 0.085
B: 0.648 0.081 0.236
B: 0.648 0.419 0.736
B: 0.729 0.533 0.447
B: 0.729 0.967 0.947
B: 0.846 0.097 0.497
B: 0.846 0.403 0.997
B: 0.906 0.173 0.892
B: 0.906 0.327 0.392
O: 0.028 0.724 0.988
O: 0.028 0.776 0.488
O: 0.086 0.107 0.916
O: 0.086 0.393 0.416
O: 0.116 0.542 0.886
O: 0.116 0.958 0.386
O: 0.209 0.716 0.237
O: 0.209 0.784 0.737
O: 0.231 0.525 0.645
O: 0.231 0.975 0.145
O: 0.317 0.537 0.134
O: 0.317 0.963 0.634
O: 0.320 0.626 0.510
O: 0.320 0.874 0.010
O: 0.324 0.083 0.811
O: 0.324 0.417 0.311
O: 0.434 0.154 0.431
O: 0.434 0.346 0.931
O: 0.443 0.152 0.130
O: 0.443 0.348 0.630
O: 0.557 0.652 0.370
O: 0.557 0.848 0.870
O: 0.566 0.654 0.069
O: 0.566 0.846 0.569
O: 0.676 0.583 0.689
O: 0.676 0.917 0.189
O: 0.680 0.126 0.990
O: 0.680 0.374 0.490
O: 0.683 0.037 0.366
O: 0.683 0.463 0.866
O: 0.769 0.025 0.855
O: 0.769 0.475 0.355
O: 0.791 0.216 0.263
O: 0.791 0.284 0.763
O: 0.884 0.042 0.614
O: 0.884 0.458 0.114
O: 0.914 0.607 0.584
O: 0.914 0.893 0.084
O: 0.972 0.224 0.512
O: 0.972 0.276 0.012



No. 10
This record from the Materials Project describes a relaxed BaSrDy4O8 crystal. The functional is GGA-PBE.

Calculated values
final energy	-7.715	eV/atom
M_tot	0.0	μB/cell

a b c (Å): 3.466 12.097 10.322
angles (deg): 90.00 90.00 90.00
Fractional positions:
Ba: 0.000 0.101 0.000
Ba: 0.000 0.899 0.500
Sr: 0.500 0.397 0.506
Sr: 0.500 0.603 0.006
Dy: 0.000 0.143 0.331
Dy: 0.000 0.363 0.826
Dy: 0.000 0.637 0.326
Dy: 0.000 0.857 0.831
Dy: 0.500 0.142 0.675
Dy: 0.500 0.365 0.176
Dy: 0.500 0.635 0.676
Dy: 0.500 0.858 0.175
O: 0.000 0.034 0.736
O: 0.000 0.272 0.627
O: 0.000 0.331 0.329
O: 0.000 0.419 0.039
O: 0.000 0.581 0.539
O: 0.000 0.669 0.829
O: 0.000 0.728 0.127
O: 0.000 0.966 0.236
O: 0.500 0.089 0.464
O: 0.500 0.179 0.185
O: 0.500 0.236 0.869
O: 0.500 0.465 0.760
O: 0.500 0.535 0.260
O: 0.500 0.764 0.369
O: 0.500 0.821 0.685
O: 0.500 0.911 0.964



No. 11
This record from the Materials Project describes a relaxed Al13Si5H18ClO38 crystal. The functional is GGA-PBE.

Calculated values
final energy	-6.599	eV/atom
M_tot	0.0	μB/cell

a b c (Å): 9.955 9.955 9.955
angles (deg): 60.00 60.00 60.00
Fractional positions:
Al: 0.000 0.000 0.000
Al: 0.344 0.688 0.984
Al: 0.344 0.984 0.688
Al: 0.344 0.984 0.984
Al: 0.688 0.344 0.984
Al: 0.688 0.984 0.344
Al: 0.688 0.984 0.984
Al: 0.984 0.344 0.688
Al: 0.984 0.344 0.984
Al: 0.984 0.688 0.344
Al: 0.984 0.688 0.984
Al: 0.984 0.984 0.344
Al: 0.984 0.984 0.688
Si: 0.090 0.637 0.637
Si: 0.500 0.500 0.500
Si: 0.637 0.090 0.637
Si: 0.637 0.637 0.090
Si: 0.637 0.637 0.637
H: 0.098 0.098 0.402
H: 0.098 0.402 0.098
H: 0.098 0.402 0.402
H: 0.270 0.270 0.620
H: 0.270 0.270 0.841
H: 0.270 0.620 0.270
H: 0.270 0.620 0.841
H: 0.270 0.841 0.270
H: 0.270 0.841 0.620
H: 0.402 0.098 0.098
H: 0.402 0.098 0.402
H: 0.402 0.402 0.098
H: 0.620 0.270 0.270
H: 0.620 0.270 0.841
H: 0.620 0.841 0.270
H: 0.841 0.270 0.270
H: 0.841 0.270 0.620
H: 0.841 0.620 0.270
Cl: 0.250 0.250 0.250
O: 0.028 0.028 0.472
O: 0.028 0.472 0.028
O: 0.028 0.472 0.472
O: 0.029 0.475 0.748
O: 0.029 0.748 0.475
O: 0.029 0.748 0.748
O: 0.205 0.205 0.650
O: 0.205 0.205 0.939
O: 0.205 0.650 0.205
O: 0.205 0.650 0.939
O: 0.205 0.939 0.205
O: 0.205 0.939 0.650
O: 0.224 0.925 0.925
O: 0.298 0.567 0.567
O: 0.472 0.028 0.028
O: 0.472 0.028 0.472
O: 0.472 0.472 0.028
O: 0.475 0.029 0.748
O: 0.475 0.748 0.029
O: 0.475 0.748 0.748
O: 0.567 0.298 0.567
O: 0.567 0.567 0.298
O: 0.567 0.567 0.567
O: 0.650 0.205 0.205
O: 0.650 0.205 0.939
O: 0.650 0.939 0.205
O: 0.748 0.029 0.475
O: 0.748 0.029 0.748
O: 0.748 0.475 0.029
O: 0.748 0.475 0.748
O: 0.748 0.748 0.029
O: 0.748 0.748 0.475
O: 0.925 0.224 0.925
O: 0.925 0.925 0.224
O: 0.925 0.925 0.925
O: 0.939 0.205 0.205
O: 0.939 0.205 0.650
O: 0.939 0.650 0.205



No. 12
This record from the Materials Project describes a relaxed UCrCo crystal. The functional is GGA-PBE.

Calculated values
final energy	-9.386	eV/atom
M_tot	0.0	μB/cell

a b c (Å): 5.091 5.091 5.091
angles (deg): 127.84 120.07 83.43
Fractional positions:
U: 0.393 0.143 0.250
U: 0.607 0.857 0.750
Cr: 0.000 0.000 0.500
Cr: 0.000 0.500 0.000
Co: 0.000 0.500 0.500
Co: 0.500 0.500 0.000